K3TlCl6O2: optimized geometry, PBE.

Results
- DFT formation energy: -89 kJ/mol of atoms
- Crystal system: tetragonal
- E above lowest polymorph: 0 meV per atom
- Space-group type: I4/mmm (139)

Cell: 15.0353 15.0353 15.0353 Å, 118.31 118.31 92.95°
With the nearest neighbours (Å) after each atom.
Element x y z (fractional)
Cl 0.6193 0.3807 0.5000  1 Tl 2.60
Cl 0.6230 0.1230 0.5000  1 Tl 2.55
Tl 0.0000 0.5000 0.5000  6 Cl 2.55-2.67
Tl 0.5000 0.5000 0.5000  6 Cl 2.60-2.72
Cl 0.3770 0.8770 0.5000  1 Tl 2.55
K 0.5772 0.8617 0.7155  6 Cl 3.18-3.34
Tl 0.5000 0.0000 0.0000  6 Cl 2.60-2.72
K 0.9030 0.6223 0.2807  1 O 2.91, 2 Cl 3.18
O 0.6737 0.7411 0.9326  2 O 1.47
Cl 0.6746 0.0074 0.0000  1 Tl 2.62
K 0.4228 0.1383 0.2845  6 Cl 3.18-3.34
Cl 0.1813 0.1813 0.6768  1 Tl 2.72
Cl 0.1812 0.0000 0.1812  1 Tl 2.79, 2 K 3.08
O 0.6231 0.6231 0.0000  1 K 2.55, 4 O 2.66
Cl 0.4955 0.4955 0.6768  1 Tl 2.72
Cl 0.8701 0.3852 0.2552  1 Tl 2.67
Tl 0.0000 0.0000 0.0000  2 Cl 2.40
K 0.8011 0.1989 0.0000  6 Cl 3.06-3.37
Cl 0.3807 0.8807 0.7615  1 Tl 2.60
K 0.8011 0.8011 0.6022  6 Cl 3.06-3.37
O 0.7411 0.6737 0.9326  2 O 1.47
Cl 0.0074 0.0074 0.3328  1 Tl 2.62
K 0.5000 0.5000 0.0000  2 O 2.55
Cl 0.1299 0.3852 0.5151  1 Tl 2.67
Cl 0.1230 0.6230 0.5000  1 Tl 2.55
K 0.3777 0.6584 0.2807  1 O 2.91, 2 Cl 3.18
K 0.6223 0.3416 0.7193  1 O 2.91, 2 Cl 3.18
O 0.1914 0.2589 0.9326  2 O 1.47
K 0.1989 0.8011 0.0000  6 Cl 3.06-3.37
Tl 0.5000 0.0000 0.5000  6 Cl 2.55-2.67
Cl 0.6148 0.1299 0.7448  1 Tl 2.67
O 0.3769 0.3769 0.0000  1 K 2.55, 4 O 2.66
Cl 0.3852 0.1299 0.5151  1 Tl 2.67
O 0.6882 0.5000 0.1882  3 K 2.90-2.91
Cl 0.8188 0.0000 0.8188  1 Tl 2.79, 2 K 3.08
Cl 0.8807 0.3807 0.7615  1 Tl 2.60
O 0.2589 0.1914 0.9326  2 O 1.47
Cl 0.5045 0.1813 0.0000  1 Tl 2.72
Cl 0.6193 0.1193 0.2385  1 Tl 2.60
Tl 0.0000 0.0000 0.5000  6 Cl 2.60-2.72
Cl 0.9926 0.3254 0.0000  1 Tl 2.62
Cl 0.3254 0.9926 0.0000  1 Tl 2.62
K 0.3777 0.0970 0.7193  1 O 2.91, 2 Cl 3.18
Cl 0.1193 0.8807 0.5000  1 Tl 2.60
K 0.6223 0.9030 0.2807  1 O 2.91, 2 Cl 3.18
Cl 0.1813 0.5045 0.0000  1 Tl 2.72
K 0.1989 0.1989 0.3978  6 Cl 3.06-3.37
Cl 0.1157 0.1157 0.0000  1 Tl 2.40
Cl 0.6148 0.8701 0.4849  1 Tl 2.67
Cl 0.1193 0.6193 0.2385  1 Tl 2.60
K 0.8617 0.5772 0.7155  6 Cl 3.18-3.34
O 0.7411 0.8086 0.0674  2 O 1.47
Cl 0.0000 0.1812 0.1812  1 Tl 2.79, 2 K 3.08
Cl 0.8807 0.1193 0.5000  1 Tl 2.60
Cl 0.8187 0.8187 0.3232  1 Tl 2.72
K 0.1463 0.8617 0.2845  6 Cl 3.18-3.34
O 0.5000 0.6882 0.1882  3 K 2.90-2.91
K 0.1383 0.4228 0.2845  6 Cl 3.18-3.34
K 0.6584 0.3777 0.2807  1 O 2.91, 2 Cl 3.18
Cl 0.6746 0.6746 0.6672  1 Tl 2.62
Cl 0.8701 0.6148 0.4849  1 Tl 2.67
K 0.8617 0.1463 0.2845  6 Cl 3.18-3.34
K 0.0970 0.3777 0.7193  1 O 2.91, 2 Cl 3.18
O 0.2589 0.3263 0.0674  2 O 1.47
Cl 0.8770 0.3770 0.5000  1 Tl 2.55
Cl 0.5045 0.5045 0.3232  1 Tl 2.72
O 0.3263 0.2589 0.0674  2 O 1.47
Cl 0.0000 0.8188 0.8188  1 Tl 2.79, 2 K 3.08
Cl 0.4955 0.8187 0.0000  1 Tl 2.72
Cl 0.8843 0.8843 0.0000  1 Tl 2.40
Cl 0.3254 0.3254 0.3328  1 Tl 2.62
O 0.5000 0.3118 0.8118  3 K 2.90-2.91
Cl 0.1299 0.6148 0.7448  1 Tl 2.67
K 0.1383 0.8537 0.7155  6 Cl 3.18-3.34
Cl 0.3807 0.6193 0.5000  1 Tl 2.60
K 0.8537 0.1383 0.7155  6 Cl 3.18-3.34
Cl 0.9926 0.9926 0.6672  1 Tl 2.62
Cl 0.3852 0.8701 0.2552  1 Tl 2.67
Tl 0.0000 0.5000 0.0000  6 Cl 2.60-2.72
K 0.3416 0.6223 0.7193  1 O 2.91, 2 Cl 3.18
O 0.8086 0.7411 0.0674  2 O 1.47
Cl 0.0074 0.6746 0.0000  1 Tl 2.62
O 0.3118 0.5000 0.8118  3 K 2.90-2.91
Cl 0.8187 0.4955 0.0000  1 Tl 2.72